Below is Tm5Co19P12 after structural relaxation, with properties calculated at the r2SCAN level.

```
36
Lattice="11.826 0.000 0.000 -5.913 10.242 0.000 0.000 0.000 3.643" Properties=species:S:1:pos:R:3 pbc="T T T"
Tm -4.804 8.320 0.000
Tm 1.110 1.922 0.000
Tm 0.000 6.828 1.821
Tm 5.913 3.414 1.821
Tm 9.607 0.000 0.000
Co 0.000 0.000 1.821
Co -1.682 2.913 0.000
Co -2.640 4.573 1.821
Co -2.311 6.573 0.000
Co -0.131 3.863 1.821
Co -2.502 8.424 1.821
Co 3.364 0.000 0.000
Co 1.376 4.954 0.000
Co 3.411 1.818 1.821
Co 5.280 0.000 1.821
Co 3.602 3.669 0.000
Co 0.935 8.956 0.000
Co 3.273 5.669 1.821
Co 2.633 8.197 1.821
Co 6.848 1.285 0.000
Co 4.231 7.329 0.000
Co 5.782 6.379 1.821
Co 8.546 2.045 1.821
Co 7.289 5.288 0.000
P -1.058 1.832 1.821
P -3.742 6.481 1.821
P -0.867 4.920 0.000
P 2.115 0.000 1.821
P -1.218 8.532 0.000
P 2.171 3.760 1.821
P 4.695 1.709 0.000
P 2.085 7.031 0.000
P 7.484 0.000 1.821
P 5.046 5.321 0.000
P 4.856 8.410 1.821
P 7.999 3.211 0.000
```

Summary:
Formation enthalpy at 0 K = -0.86 eV/atom
ρ = 8.79 g/cm³
Crystal system = hexagonal
Final energy = -15.724 eV per atom

---

Below is UCo2P2 after structural relaxation, with properties calculated at the r2SCAN level.

```
10
Lattice="3.973 0.000 0.000 0.000 3.973 0.000 0.000 0.000 8.793" Properties=species:S:1:pos:R:3 pbc="T T T"
U 0.993 0.993 2.187
U 2.980 2.980 6.606
Co 0.993 0.993 5.370
Co 0.993 2.980 0.000
Co 2.980 0.993 0.000
Co 2.980 2.980 3.423
P 0.993 0.993 7.601
P 0.993 2.980 4.396
P 2.980 0.993 4.396
P 2.980 2.980 1.192
```

Summary:
Formation enthalpy at 0 K = -0.90 eV/atom
ρ = 10.00 g/cm³
Crystal system = tetragonal
Final energy = -25.782 eV per atom

---

Below is U2Co12P7 after structural relaxation, with properties calculated at the r2SCAN level.

```
21
Lattice="8.947 0.000 0.000 0.000 3.616 0.000 -4.451 0.000 7.771" Properties=species:S:1:pos:R:3 pbc="T T T"
U 0.000 0.000 0.000
U 0.013 1.808 5.182
Co -3.022 1.808 5.991
Co -0.858 0.000 3.059
Co 0.826 1.808 2.131
Co -1.368 0.000 6.983
Co 2.596 0.000 1.645
Co 4.389 1.808 0.781
Co 2.947 1.808 3.575
Co 2.249 0.000 5.501
Co 2.224 1.808 7.420
Co 6.235 0.000 1.440
Co 4.603 0.000 4.712
Co 6.082 1.808 3.431
P -2.164 0.000 4.890
P 2.223 1.808 0.309
P 1.336 0.000 3.432
P 0.860 0.000 7.242
P 4.473 0.000 2.605
P 3.635 1.808 5.690
P 7.567 1.808 1.778
```

Summary:
Formation enthalpy at 0 K = -0.65 eV/atom
ρ = 9.25 g/cm³
Crystal system = monoclinic
Final energy = -18.823 eV per atom

---

Below is Co3PW2 after structural relaxation, with properties calculated at the r2SCAN level.

```
12
Lattice="4.711 0.000 0.000 -2.356 4.080 0.000 0.000 0.000 7.252" Properties=species:S:1:pos:R:3 pbc="T T T"
Co 0.000 1.374 1.813
Co -1.166 3.393 1.813
Co 1.190 0.687 5.439
Co 1.166 3.393 1.813
Co 3.521 0.687 5.439
Co 2.356 2.706 5.439
P 0.000 0.000 0.000
P 0.000 0.000 3.626
W 0.000 2.720 4.101
W 0.000 2.720 6.777
W 2.356 1.360 0.475
W 2.356 1.360 3.151
```

Summary:
Formation enthalpy at 0 K = -0.15 eV/atom
ρ = 13.71 g/cm³
Crystal system = hexagonal
Final energy = -25.389 eV per atom